1.
Zr4NbGa3 | meta-GGA r2SCAN | relaxed

Values from the calculation:
Total DFT energy (no corrections) in eV/atom: -19.343

Cell: 10.7763 10.7763 5.3349 Å, 90.00 90.00 90.00°
Space group I4/mcm (No. 140)
One atom of each set of equivalent atoms:
Zr 0.0812 0.2209 0.0000 x16
Nb 0.0000 0.5000 0.2500 x4
Ga 0.0000 0.0000 0.2500 x4
Ga 0.1587 0.3413 0.5000 x8

=====

2.
NdGa2 | meta-GGA r2SCAN | relaxed

Values from the calculation:
Total DFT energy (no corrections) in eV/atom: -18.249

Cell: 4.2385 4.2385 4.3330 Å, 90.00 90.00 120.00°
Space group P6/mmm (No. 191)
One atom of each set of equivalent atoms:
Nd 0.0000 0.0000 0.0000 x1
Ga 0.3333 0.6667 0.5000 x2

=====

- Look up the total DFT energy (no corrections) of the second one.
  -18.249 eV/atom

=====

- total DFT energy (no corrections) of number 2 (NdGa2)?
  -18.249 eV/atom

=====

- Which of these has the lowest total DFT energy (no corrections)?
  Zr4NbGa3

=====

- Which of these has the highest total DFT energy (no corrections)?
  NdGa2